[1]
# LaI3O9 (PBE-GGA, optimized geometry)
data_LaI3O9
_cell_length_a 12.682
_cell_length_b 7.200
_cell_length_c 28.197
_cell_angle_alpha 90.00
_cell_angle_beta 101.32
_cell_angle_gamma 90.00
_symmetry_space_group_name_H-M 'C 1 c 1'
_symmetry_Int_Tables_number 9
_symmetry_space_group_name_Hall 'C -2yc'
loop_
_atom_site_label
_atom_site_fract_x
_atom_site_fract_y
_atom_site_fract_z
_atom_site_occupancy
La1 0.000 0.036 0.000 1
La2 0.247 0.134 0.638 1
La3 0.439 0.109 0.358 1
I1 0.099 0.352 0.114 1
I2 0.117 0.470 0.474 1
I3 0.133 0.051 0.385 1
I4 0.171 0.104 0.765 1
I5 0.314 0.412 0.887 1
I6 0.321 0.015 0.524 1
I7 0.324 0.384 0.237 1
I8 0.421 0.389 0.114 1
I9 0.492 0.149 0.742 1
O1 0.020 0.308 0.492 1
O2 0.024 0.339 0.953 1
O3 0.032 0.484 0.793 1
O4 0.050 0.018 0.600 1
O5 0.086 0.319 0.048 1
O6 0.106 0.382 0.213 1
O7 0.113 0.096 0.292 1
O8 0.114 0.398 0.411 1
O9 0.131 0.401 0.618 1
O10 0.138 0.197 0.866 1
O11 0.151 0.011 0.452 1
O12 0.158 0.033 0.702 1
O13 0.195 0.052 0.546 1
O14 0.236 0.251 0.134 1
O15 0.270 0.127 0.386 1
O16 0.288 0.370 0.726 1
O17 0.308 0.376 0.951 1
O18 0.312 0.034 0.787 1
O19 0.344 0.254 0.506 1
O20 0.360 0.368 0.050 1
O21 0.367 0.383 0.304 1
O22 0.370 0.384 0.627 1
O23 0.394 0.215 0.876 1
O24 0.397 0.017 0.696 1
O25 0.399 0.015 0.586 1
O26 0.431 0.427 0.403 1
O27 0.454 0.391 0.219 1
# E above lowest polymorph	0.000	eV per atom
# V	2524.6	Å³/cell
# DFT total energy	-5.176	eV per atom



[2]
# LuNiSn4 (PBE-GGA, optimized geometry)
data_LuNiSn4
_cell_length_a 4.437
_cell_length_b 28.204
_cell_length_c 4.451
_cell_angle_alpha 90.00
_cell_angle_beta 90.00
_cell_angle_gamma 90.00
_symmetry_space_group_name_H-M 'C m m m'
_symmetry_Int_Tables_number 65
_symmetry_space_group_name_Hall '-C 2 2'
loop_
_atom_site_label
_atom_site_fract_x
_atom_site_fract_y
_atom_site_fract_z
_atom_site_occupancy
Lu1 0.000 0.194 0.000 1
Ni1 0.000 0.447 0.500 1
Sn1 0.000 0.000 0.500 1
Sn2 0.000 0.111 0.500 1
Sn3 0.000 0.287 0.500 1
Sn4 0.000 0.389 0.000 1
Sn5 0.000 0.500 0.000 1
# V	556.9	Å³/cell
# DFT total energy	-4.689	eV per atom
# M_tot	0.0	μB per cell



[3]
# CsHg5Cl11 (PBE-GGA, optimized geometry)
data_CsHg5Cl11
_cell_length_a 12.496
_cell_length_b 14.887
_cell_length_c 6.941
_cell_angle_alpha 90.00
_cell_angle_beta 120.26
_cell_angle_gamma 90.00
_symmetry_space_group_name_H-M 'C 1 2/m 1'
_symmetry_Int_Tables_number 12
_symmetry_space_group_name_Hall '-C 2y'
loop_
_atom_site_label
_atom_site_fract_x
_atom_site_fract_y
_atom_site_fract_z
_atom_site_occupancy
Cs1 0.000 0.000 0.000 1
Hg1 0.000 0.500 0.000 1
Hg2 0.183 0.167 0.682 1
Cl1 0.000 0.000 0.500 1
Cl2 0.080 0.220 0.313 1
Cl3 0.147 0.500 0.379 1
Cl4 0.207 0.375 0.942 1
# E above lowest polymorph	0.003	eV per atom
# V	1115.2	Å³/cell
# DFT total energy	-2.117	eV per atom
# M_tot	0.0	μB per cell